La10C4I15 | meta-GGA r2SCAN | relaxed

```
La10C4I15
1.0
9.8983 -0.0138 0.0008
-3.5677 10.2269 0.0039
-4.9252 -2.5332 10.5393
La C I
10 4 15
Direct
0.5986 0.5407 0.3432
0.3432 0.7461 0.1656
0.7797 0.8855 0.2589
0.5285 0.1878 0.1039
0.2203 0.1145 0.7411
0.4014 0.4593 0.6568
0.4715 0.8122 0.8961
0.7057 0.5674 0.0445
0.2943 0.4326 0.9555
0.6568 0.2539 0.8344
0.4817 0.2996 0.9367
0.5183 0.7004 0.0633
0.4522 0.3612 0.8331
0.5478 0.6388 0.1669
0.2061 0.9058 0.9370
0.1030 0.1867 0.4644
0.1479 0.5546 0.7022
0.4056 0.9677 0.6455
0.7168 0.7340 0.8215
0.2832 0.2660 0.1785
0.8521 0.4454 0.2978
0.8970 0.8133 0.5356
0.3587 0.6305 0.4154
0.0579 0.8336 0.2221
0.7939 0.0942 0.0630
0.6413 0.3695 0.5846
0.9421 0.1664 0.7779
0.5944 0.0323 0.3545
0.0000 0.5000 0.0000
```

Properties
As for the density: 5.20 g/cm³. Its formation energy is -43.56 eV/f.u. Its space group is P-1 (2).